The following is a PBE calculation of a relaxed Li4B2O5 crystal, from the Materials Project database.

Summary:
The calculation puts the volume at 9.03 Å³/atom. The value obtained for the formation energy is -28.402 eV per formula unit. As for the total energy: -6.43 eV/atom. Its crystal system is monoclinic. The space group is C2/c, No. 15. The density comes out at 2.162 Mg/m³.

Lattice parameters (Å, degrees): 6.017 6.017 6.057 105.01 105.01 73.23
Element x y z (fractional)
Li 0.065 0.672 0.735
Li 0.328 0.935 0.765
Li 0.342 0.390 0.033
Li 0.390 0.342 0.533
Li 0.610 0.658 0.467
Li 0.658 0.610 0.967
Li 0.672 0.065 0.235
Li 0.935 0.328 0.265
B 0.055 0.753 0.341
B 0.247 0.945 0.159
B 0.753 0.055 0.841
B 0.945 0.247 0.659
O 0.045 0.955 0.250
O 0.148 0.325 0.715
O 0.263 0.665 0.481
O 0.325 0.148 0.215
O 0.335 0.737 0.019
O 0.665 0.263 0.981
O 0.675 0.852 0.785
O 0.737 0.335 0.519
O 0.852 0.675 0.285
O 0.955 0.045 0.750

The following is a PBE calculation of a relaxed LiBO2 crystal, from the Materials Project database.

Summary:
The calculation puts the volume at 9.93 Å³/atom. The value obtained for the formation energy is -10.952 eV per formula unit. As for the total energy: -7.02 eV/atom. Its crystal system is monoclinic. The space group is P2_1/c, No. 14. The density comes out at 2.079 Mg/m³.

Lattice parameters (Å, degrees): 5.758 4.397 6.708 90.00 110.62 90.00
Element x y z (fractional)
Li 0.061 0.218 0.146
Li 0.061 0.282 0.646
Li 0.939 0.718 0.354
Li 0.939 0.782 0.854
B 0.374 0.679 0.222
B 0.374 0.821 0.722
B 0.626 0.179 0.278
B 0.626 0.321 0.778
O 0.140 0.724 0.668
O 0.140 0.776 0.168
O 0.414 0.139 0.735
O 0.414 0.361 0.235
O 0.586 0.639 0.765
O 0.586 0.861 0.265
O 0.860 0.224 0.832
O 0.860 0.276 0.332

The following is a PBE calculation of a relaxed Li3B11O18 crystal, from the Materials Project database.

Summary:
The calculation puts the volume at 10.74 Å³/atom. The value obtained for the formation energy is -90.163 eV per formula unit. As for the total energy: -7.69 eV/atom. Its crystal system is monoclinic. The space group is P2_1/c, No. 14. The density comes out at 2.067 Mg/m³.

Lattice parameters (Å, degrees): 17.998 7.952 9.772 90.00 100.69 90.00
Element x y z (fractional)
Li 0.042 0.183 0.007
Li 0.042 0.317 0.507
Li 0.246 0.078 0.722
Li 0.246 0.422 0.222
Li 0.421 0.060 0.364
Li 0.421 0.440 0.864
Li 0.579 0.560 0.136
Li 0.579 0.940 0.636
Li 0.754 0.578 0.778
Li 0.754 0.922 0.278
Li 0.958 0.683 0.493
Li 0.958 0.817 0.993
B 0.007 0.631 0.251
B 0.007 0.869 0.751
B 0.086 0.125 0.781
B 0.086 0.375 0.281
B 0.096 0.581 0.098
B 0.096 0.919 0.598
B 0.184 0.566 0.928
B 0.184 0.934 0.428
B 0.193 0.115 0.991
B 0.193 0.385 0.491
B 0.243 0.509 0.722
B 0.243 0.991 0.222
B 0.287 0.601 0.509
B 0.287 0.899 0.009
B 0.308 0.058 0.465
B 0.308 0.442 0.965
B 0.375 0.655 0.346
B 0.375 0.845 0.846
B 0.414 0.058 0.686
B 0.414 0.442 0.186
B 0.486 0.710 0.250
B 0.486 0.790 0.750
B 0.514 0.210 0.250
B 0.514 0.290 0.750
B 0.586 0.558 0.814
B 0.586 0.942 0.314
B 0.625 0.155 0.154
B 0.625 0.345 0.654
B 0.692 0.558 0.035
B 0.692 0.942 0.535
B 0.713 0.101 0.991
B 0.713 0.399 0.491
B 0.757 0.009 0.778
B 0.757 0.491 0.278
B 0.807 0.615 0.509
B 0.807 0.885 0.009
B 0.816 0.066 0.572
B 0.816 0.434 0.072
B 0.904 0.081 0.402
B 0.904 0.419 0.902
B 0.914 0.625 0.719
B 0.914 0.875 0.219
B 0.993 0.131 0.249
B 0.993 0.369 0.749
O 0.030 0.660 0.122
O 0.030 0.840 0.622
O 0.034 0.003 0.832
O 0.034 0.497 0.332
O 0.043 0.236 0.203
O 0.043 0.264 0.703
O 0.122 0.626 0.980
O 0.122 0.874 0.480
O 0.129 0.042 0.686
O 0.129 0.458 0.186
O 0.133 0.193 0.909
O 0.133 0.307 0.409
O 0.187 0.592 0.793
O 0.187 0.908 0.293
O 0.204 0.127 0.132
O 0.204 0.373 0.632
O 0.243 0.021 0.927
O 0.243 0.479 0.427
O 0.244 0.012 0.520
O 0.244 0.488 0.020
O 0.278 0.631 0.641
O 0.278 0.869 0.141
O 0.305 0.068 0.324
O 0.305 0.432 0.824
O 0.338 0.696 0.452
O 0.338 0.804 0.952
O 0.361 0.511 0.270
O 0.361 0.989 0.770
O 0.376 0.101 0.544
O 0.376 0.399 0.044
O 0.434 0.735 0.830
O 0.434 0.765 0.330
O 0.448 0.211 0.757
O 0.448 0.289 0.257
O 0.475 0.564 0.175
O 0.475 0.936 0.675
O 0.525 0.064 0.325
O 0.525 0.436 0.825
O 0.552 0.711 0.743
O 0.552 0.789 0.243
O 0.566 0.235 0.670
O 0.566 0.265 0.170
O 0.624 0.601 0.956
O 0.624 0.899 0.456
O 0.639 0.011 0.230
O 0.639 0.489 0.730
O 0.662 0.196 0.048
O 0.662 0.304 0.548
O 0.695 0.568 0.176
O 0.695 0.932 0.676
O 0.722 0.131 0.859
O 0.722 0.369 0.359
O 0.756 0.512 0.980
O 0.756 0.988 0.480
O 0.757 0.521 0.573
O 0.757 0.979 0.073
O 0.796 0.627 0.368
O 0.796 0.873 0.868
O 0.813 0.092 0.707
O 0.813 0.408 0.207
O 0.867 0.693 0.591
O 0.867 0.807 0.091
O 0.871 0.542 0.814
O 0.871 0.958 0.314
O 0.878 0.126 0.520
O 0.878 0.374 0.020
O 0.957 0.736 0.297
O 0.957 0.764 0.797
O 0.966 0.503 0.668
O 0.966 0.997 0.168
O 0.970 0.160 0.378
O 0.970 0.340 0.878

The following is a PBE calculation of a relaxed Li3B7O12 crystal, from the Materials Project database.

Summary:
The calculation puts the volume at 9.80 Å³/atom. The value obtained for the formation energy is -61.977 eV per formula unit. As for the total energy: -7.53 eV/atom. Its crystal system is triclinic. The space group is P-1, No. 2. The density comes out at 2.222 Mg/m³.

Lattice parameters (Å, degrees): 6.562 7.990 8.631 91.31 104.73 99.10
Element x y z (fractional)
Li 0.011 0.305 0.183
Li 0.221 0.803 0.533
Li 0.483 0.922 0.196
Li 0.517 0.078 0.804
Li 0.779 0.197 0.467
Li 0.989 0.695 0.817
B 0.042 0.707 0.191
B 0.095 0.040 0.701
B 0.215 0.141 0.991
B 0.246 0.130 0.459
B 0.269 0.504 0.769
B 0.383 0.571 0.214
B 0.438 0.273 0.271
B 0.562 0.727 0.729
B 0.617 0.429 0.786
B 0.731 0.496 0.231
B 0.754 0.870 0.541
B 0.785 0.859 0.009
B 0.905 0.960 0.299
B 0.958 0.293 0.809
O 0.035 0.827 0.320
O 0.047 0.131 0.350
O 0.060 0.241 0.970
O 0.067 0.467 0.786
O 0.228 0.034 0.867
O 0.260 0.058 0.605
O 0.269 0.701 0.195
O 0.312 0.411 0.252
O 0.332 0.661 0.716
O 0.360 0.139 0.138
O 0.411 0.390 0.807
O 0.434 0.195 0.424
O 0.566 0.805 0.576
O 0.589 0.610 0.193
O 0.640 0.861 0.862
O 0.668 0.339 0.284
O 0.688 0.589 0.748
O 0.731 0.299 0.805
O 0.740 0.942 0.395
O 0.772 0.966 0.133
O 0.933 0.533 0.214
O 0.940 0.759 0.030
O 0.953 0.869 0.650
O 0.965 0.173 0.680

The following is a PBE calculation of a relaxed Li8B2O7 crystal, from the Materials Project database.

Summary:
The calculation puts the volume at 7.89 Å³/atom. The value obtained for the formation energy is -40.826 eV per formula unit. As for the total energy: -5.84 eV/atom. Its crystal system is monoclinic. The space group is P2_1/c, No. 14. The density comes out at 2.341 Mg/m³.

Lattice parameters (Å, degrees): 7.264 9.227 8.411 90.00 107.83 90.00
Element x y z (fractional)
Li 0.002 0.234 0.377
Li 0.002 0.266 0.877
Li 0.077 0.531 0.640
Li 0.077 0.969 0.140
Li 0.156 0.005 0.476
Li 0.156 0.495 0.976
Li 0.217 0.750 0.431
Li 0.217 0.750 0.931
Li 0.245 0.060 0.785
Li 0.245 0.440 0.285
Li 0.379 0.526 0.569
Li 0.379 0.974 0.069
Li 0.392 0.240 0.467
Li 0.392 0.260 0.967
Li 0.416 0.541 0.859
Li 0.416 0.959 0.359
Li 0.584 0.041 0.641
Li 0.584 0.459 0.141
Li 0.608 0.740 0.033
Li 0.608 0.760 0.533
Li 0.621 0.026 0.931
Li 0.621 0.474 0.431
Li 0.755 0.560 0.715
Li 0.755 0.940 0.215
Li 0.783 0.250 0.069
Li 0.783 0.250 0.569
Li 0.844 0.505 0.024
Li 0.844 0.995 0.524
Li 0.923 0.031 0.860
Li 0.923 0.469 0.360
Li 0.998 0.734 0.123
Li 0.998 0.766 0.623
B 0.192 0.211 0.155
B 0.192 0.289 0.655
B 0.407 0.699 0.226
B 0.407 0.801 0.726
B 0.593 0.199 0.274
B 0.593 0.301 0.774
B 0.808 0.711 0.345
B 0.808 0.789 0.845
O 0.051 0.160 0.609
O 0.051 0.340 0.109
O 0.168 0.121 0.292
O 0.168 0.379 0.792
O 0.172 0.117 0.003
O 0.172 0.383 0.503
O 0.261 0.681 0.686
O 0.261 0.819 0.186
O 0.394 0.216 0.716
O 0.394 0.284 0.216
O 0.394 0.610 0.074
O 0.394 0.610 0.368
O 0.394 0.890 0.574
O 0.394 0.890 0.868
O 0.606 0.110 0.132
O 0.606 0.110 0.426
O 0.606 0.390 0.632
O 0.606 0.390 0.926
O 0.606 0.716 0.784
O 0.606 0.784 0.284
O 0.739 0.181 0.814
O 0.739 0.319 0.314
O 0.828 0.617 0.497
O 0.828 0.883 0.997
O 0.832 0.621 0.208
O 0.832 0.879 0.708
O 0.949 0.660 0.891
O 0.949 0.840 0.391

The following is a PBE calculation of a relaxed LiBO4 crystal, from the Materials Project database.

Summary:
The calculation puts the volume at 12.54 Å³/atom. The value obtained for the formation energy is -7.890 eV per formula unit. As for the total energy: -5.59 eV/atom. Its crystal system is orthorhombic. The space group is Pbca, No. 61. The density comes out at 1.804 Mg/m³.

Lattice parameters (Å, degrees): 7.933 9.478 8.007 90.00 90.00 90.00
Element x y z (fractional)
Li 0.128 0.203 0.109
Li 0.128 0.297 0.609
Li 0.372 0.703 0.109
Li 0.372 0.797 0.609
Li 0.628 0.203 0.391
Li 0.628 0.297 0.891
Li 0.872 0.703 0.391
Li 0.872 0.797 0.891
B 0.155 0.569 0.842
B 0.155 0.931 0.342
B 0.345 0.069 0.842
B 0.345 0.431 0.342
B 0.655 0.569 0.658
B 0.655 0.931 0.158
B 0.845 0.069 0.658
B 0.845 0.431 0.158
O 0.046 0.654 0.942
O 0.046 0.846 0.442
O 0.099 0.068 0.296
O 0.099 0.432 0.796
O 0.183 0.068 0.924
O 0.183 0.432 0.424
O 0.200 0.655 0.699
O 0.200 0.845 0.199
O 0.300 0.155 0.699
O 0.300 0.345 0.199
O 0.317 0.568 0.924
O 0.317 0.932 0.424
O 0.401 0.568 0.296
O 0.401 0.932 0.796
O 0.454 0.154 0.942
O 0.454 0.346 0.442
O 0.546 0.654 0.558
O 0.546 0.846 0.058
O 0.599 0.068 0.204
O 0.599 0.432 0.704
O 0.683 0.068 0.576
O 0.683 0.432 0.076
O 0.700 0.655 0.801
O 0.700 0.845 0.301
O 0.800 0.155 0.801
O 0.800 0.345 0.301
O 0.817 0.568 0.576
O 0.817 0.932 0.076
O 0.901 0.568 0.204
O 0.901 0.932 0.704
O 0.954 0.154 0.558
O 0.954 0.346 0.058

The following is a PBE calculation of a relaxed Li4B2O5 crystal, from the Materials Project database.

Summary:
The calculation puts the volume at 8.95 Å³/atom. The value obtained for the formation energy is -28.103 eV per formula unit. As for the total energy: -6.40 eV/atom. Its crystal system is triclinic. The space group is P-1, No. 2. The density comes out at 2.182 Mg/m³.

Lattice parameters (Å, degrees): 4.879 7.021 7.065 60.47 70.17 75.04
Element x y z (fractional)
Li 0.003 0.190 0.472
Li 0.290 0.837 0.156
Li 0.471 0.469 0.194
Li 0.473 0.924 0.705
Li 0.527 0.076 0.295
Li 0.529 0.531 0.806
Li 0.710 0.163 0.844
Li 0.997 0.810 0.528
B 0.049 0.224 0.031
B 0.389 0.357 0.581
B 0.611 0.643 0.419
B 0.951 0.776 0.969
O 0.127 0.092 0.233
O 0.235 0.695 0.985
O 0.287 0.251 0.839
O 0.293 0.598 0.463
O 0.370 0.224 0.490
O 0.630 0.776 0.510
O 0.707 0.402 0.537
O 0.713 0.749 0.161
O 0.765 0.305 0.015
O 0.873 0.908 0.767

Which of these has the highest density?
Li8B2O7

Which formula does entry 6 have?
LiBO4